# CrFe2C10Se4O10, optimized geometry, DFT PBE+U
data_CrFe2C10Se4O10
_space_group_name_H-M_alt 'P 1'
_space_group_IT_number 1
_space_group_name_Hall 'P 1'
_cell_length_a 17.637
_cell_length_b 6.684
_cell_length_c 17.272
_cell_angle_alpha 83.27
_cell_angle_beta 90.00
_cell_angle_gamma 90.00
loop_
_atom_site_label
_atom_site_fract_x
_atom_site_fract_y
_atom_site_fract_z
Cr1 0.384 0.779 0.619
Cr2 0.884 0.221 0.881
Cr3 0.116 0.779 0.119
Cr4 0.616 0.221 0.381
Fe1 0.462 0.154 0.197
Fe2 0.650 0.328 0.135
Fe3 0.150 0.672 0.365
Fe4 0.350 0.672 0.865
Fe5 0.962 0.846 0.303
Fe6 0.850 0.328 0.635
Fe7 0.538 0.846 0.803
Fe8 0.038 0.154 0.697
C1 0.087 0.914 0.704
C2 0.067 0.218 0.598
C3 0.111 0.271 0.751
C4 0.375 0.720 0.962
C5 0.693 0.575 0.103
C6 0.403 0.941 0.524
C7 0.903 0.059 0.976
C8 0.758 0.202 0.646
C9 0.567 0.782 0.902
C10 0.807 0.575 0.603
C11 0.700 0.053 0.365
C12 0.300 0.947 0.635
C13 0.433 0.218 0.098
C14 0.258 0.798 0.854
C15 0.389 0.271 0.251
C16 0.530 0.386 0.399
C17 0.889 0.729 0.249
C18 0.125 0.720 0.462
C19 0.178 0.615 0.066
C20 0.200 0.947 0.135
C21 0.625 0.280 0.038
C22 0.933 0.782 0.402
C23 0.470 0.614 0.601
C24 0.611 0.729 0.749
C25 0.030 0.614 0.101
C26 0.970 0.386 0.899
C27 0.097 0.941 0.024
C28 0.822 0.385 0.934
C29 0.413 0.914 0.204
C30 0.307 0.425 0.897
C31 0.913 0.086 0.296
C32 0.242 0.798 0.354
C33 0.587 0.086 0.796
C34 0.742 0.202 0.146
C35 0.597 0.059 0.476
C36 0.678 0.385 0.434
C37 0.322 0.615 0.566
C38 0.800 0.053 0.865
C39 0.875 0.280 0.538
C40 0.193 0.425 0.397
Se1 0.086 0.997 0.324
Se2 0.639 0.456 0.263
Se3 0.540 0.999 0.307
Se4 0.414 0.997 0.824
Se5 0.361 0.544 0.737
Se6 0.861 0.456 0.763
Se7 0.960 0.999 0.807
Se8 0.040 0.001 0.193
Se9 0.586 0.003 0.176
Se10 0.467 0.522 0.823
Se11 0.967 0.478 0.677
Se12 0.914 0.003 0.676
Se13 0.139 0.544 0.237
Se14 0.460 0.001 0.693
Se15 0.533 0.478 0.177
Se16 0.033 0.522 0.323
O1 0.782 0.488 0.966
O2 0.413 0.039 0.465
O3 0.609 0.249 0.976
O4 0.782 0.731 0.583
O5 0.416 0.252 0.033
O6 0.891 0.249 0.476
O7 0.282 0.512 0.534
O8 0.718 0.488 0.466
O9 0.391 0.751 0.024
O10 0.700 0.123 0.652
O11 0.252 0.053 0.143
O12 0.752 0.947 0.357
O13 0.300 0.877 0.348
O14 0.841 0.658 0.216
O15 0.282 0.269 0.917
O16 0.913 0.961 0.035
O17 0.084 0.252 0.533
O18 0.341 0.342 0.284
O19 0.584 0.748 0.967
O20 0.380 0.764 0.206
O21 0.659 0.658 0.716
O22 0.916 0.748 0.467
O23 0.087 0.039 0.965
O24 0.718 0.731 0.083
O25 0.478 0.488 0.410
O26 0.109 0.751 0.524
O27 0.248 0.053 0.643
O28 0.800 0.123 0.152
O29 0.587 0.961 0.535
O30 0.748 0.947 0.857
O31 0.218 0.512 0.034
O32 0.120 0.764 0.706
O33 0.022 0.488 0.910
O34 0.522 0.512 0.590
O35 0.978 0.512 0.090
O36 0.880 0.236 0.294
O37 0.200 0.877 0.848
O38 0.620 0.236 0.794
O39 0.218 0.269 0.417
O40 0.159 0.342 0.784
# Formation enthalpy at 0 K in meV per atom: -566.0
# Total energy in eV/atom: -6.82
# MP2020-corrected energy in eV per cell: -790.5
# Space group: No. 14
# V in Å³ per cell: 2022.1

# Li3CrH12C6O18, optimized geometry, DFT PBE+U
data_Li3CrH12C6O18
_space_group_name_H-M_alt 'P 1'
_space_group_IT_number 1
_space_group_name_Hall 'P 1'
_cell_length_a 8.123
_cell_length_b 9.428
_cell_length_c 12.026
_cell_angle_alpha 92.02
_cell_angle_beta 104.51
_cell_angle_gamma 109.44
loop_
_atom_site_label
_atom_site_fract_x
_atom_site_fract_y
_atom_site_fract_z
Li1 0.985 0.070 0.112
Li2 0.037 0.104 0.404
Li3 0.430 0.210 0.074
Li4 0.570 0.790 0.926
Li5 0.963 0.896 0.596
Li6 0.015 0.930 0.888
Cr1 0.702 0.333 0.712
Cr2 0.298 0.667 0.288
H1 0.349 0.037 0.882
H2 0.869 0.216 0.509
H3 0.708 0.178 0.214
H4 0.537 0.122 0.261
H5 0.277 0.172 0.867
H6 0.701 0.335 0.985
H7 0.837 0.427 0.388
H8 0.695 0.461 0.442
H9 0.701 0.456 0.081
H10 0.404 0.405 0.833
H11 0.046 0.344 0.505
H12 0.234 0.401 0.741
H13 0.766 0.599 0.259
H14 0.954 0.656 0.495
H15 0.596 0.595 0.167
H16 0.299 0.544 0.919
H17 0.305 0.539 0.558
H18 0.163 0.573 0.612
H19 0.299 0.665 0.015
H20 0.723 0.828 0.133
H21 0.463 0.878 0.739
H22 0.292 0.822 0.786
H23 0.131 0.784 0.491
H24 0.651 0.963 0.118
C1 0.870 0.117 0.738
C2 0.865 0.166 0.861
C3 0.342 0.158 0.598
C4 0.409 0.270 0.514
C5 0.247 0.377 0.189
C6 0.072 0.364 0.224
C7 0.928 0.636 0.776
C8 0.753 0.623 0.811
C9 0.591 0.730 0.486
C10 0.658 0.842 0.402
C11 0.135 0.834 0.139
C12 0.130 0.883 0.262
O1 0.935 0.017 0.726
O2 0.919 0.100 0.941
O3 0.802 0.184 0.656
O4 0.575 0.121 0.191
O5 0.945 0.239 0.203
O6 0.937 0.262 0.454
O7 0.288 0.093 0.917
O8 0.182 0.069 0.568
O9 0.462 0.168 0.694
O10 0.803 0.275 0.869
O11 0.302 0.270 0.420
O12 0.580 0.357 0.550
O13 0.629 0.358 0.032
O14 0.257 0.264 0.140
O15 0.929 0.512 0.727
O16 0.271 0.370 0.818
O17 0.780 0.503 0.394
O18 0.630 0.488 0.787
O19 0.370 0.512 0.213
O20 0.220 0.497 0.606
O21 0.729 0.630 0.182
O22 0.071 0.488 0.273
O23 0.743 0.736 0.860
O24 0.371 0.642 0.968
O25 0.420 0.643 0.450
O26 0.698 0.730 0.580
O27 0.197 0.725 0.131
O28 0.538 0.832 0.306
O29 0.818 0.931 0.432
O30 0.712 0.907 0.083
O31 0.063 0.738 0.546
O32 0.055 0.761 0.797
O33 0.425 0.879 0.809
O34 0.198 0.816 0.344
O35 0.081 0.900 0.059
O36 0.065 0.983 0.274
# Formation enthalpy at 0 K in meV per atom: -1592.0
# Distance to the lowest polymorph of the same formula in eV/atom: 0.000
# Total energy in eV/atom: -6.25
# MP2020-corrected energy in eV per cell: -528.4
# Space group: No. 2
# V in Å³ per cell: 833.5

# NpCrH8C2N4O8, optimized geometry, DFT PBE+U
data_NpCrH8C2N4O8
_space_group_name_H-M_alt 'P 1'
_space_group_IT_number 1
_space_group_name_Hall 'P 1'
_cell_length_a 13.168
_cell_length_b 7.230
_cell_length_c 13.257
_cell_angle_alpha 59.52
_cell_angle_beta 90.00
_cell_angle_gamma 90.00
loop_
_atom_site_label
_atom_site_fract_x
_atom_site_fract_y
_atom_site_fract_z
Np1 0.574 0.062 0.200
Np2 0.926 0.062 0.700
Np3 0.426 0.938 0.800
Np4 0.074 0.938 0.300
Cr1 0.511 0.628 0.129
Cr2 0.989 0.628 0.629
Cr3 0.489 0.372 0.871
Cr4 0.011 0.372 0.371
H1 0.580 0.820 0.587
H2 0.920 0.820 0.087
H3 0.420 0.180 0.413
H4 0.080 0.180 0.913
H5 0.707 0.848 0.612
H6 0.793 0.848 0.112
H7 0.293 0.152 0.388
H8 0.207 0.152 0.888
H9 0.769 0.225 0.322
H10 0.731 0.225 0.822
H11 0.231 0.775 0.678
H12 0.269 0.775 0.178
H13 0.813 0.075 0.465
H14 0.687 0.075 0.965
H15 0.187 0.925 0.535
H16 0.313 0.925 0.035
H17 0.779 0.749 0.338
H18 0.721 0.749 0.838
H19 0.221 0.251 0.662
H20 0.279 0.251 0.162
H21 0.808 0.508 0.464
H22 0.692 0.508 0.964
H23 0.192 0.492 0.536
H24 0.308 0.492 0.036
H25 0.556 0.359 0.560
H26 0.944 0.359 0.060
H27 0.444 0.641 0.440
H28 0.056 0.641 0.940
H29 0.685 0.290 0.588
H30 0.815 0.290 0.088
H31 0.315 0.710 0.412
H32 0.185 0.710 0.912
C1 0.661 0.036 0.442
C2 0.839 0.036 0.942
C3 0.339 0.964 0.558
C4 0.161 0.964 0.058
C5 0.656 0.576 0.437
C6 0.844 0.576 0.937
C7 0.344 0.424 0.563
C8 0.156 0.424 0.063
N1 0.648 0.890 0.556
N2 0.852 0.890 0.056
N3 0.352 0.110 0.444
N4 0.148 0.110 0.944
N5 0.754 0.121 0.407
N6 0.746 0.121 0.907
N7 0.246 0.879 0.593
N8 0.254 0.879 0.093
N9 0.755 0.613 0.410
N10 0.745 0.613 0.910
N11 0.245 0.387 0.590
N12 0.255 0.387 0.090
N13 0.630 0.394 0.535
N14 0.870 0.394 0.035
N15 0.370 0.606 0.465
N16 0.130 0.606 0.965
O1 0.439 0.049 0.214
O2 0.061 0.049 0.714
O3 0.561 0.951 0.786
O4 0.939 0.951 0.286
O5 0.712 0.070 0.189
O6 0.788 0.070 0.689
O7 0.288 0.930 0.811
O8 0.212 0.930 0.311
O9 0.432 0.529 0.238
O10 0.068 0.529 0.738
O11 0.568 0.471 0.762
O12 0.932 0.471 0.262
O13 0.559 0.253 0.996
O14 0.941 0.253 0.496
O15 0.441 0.747 0.004
O16 0.059 0.747 0.504
O17 0.586 0.811 0.135
O18 0.914 0.811 0.635
O19 0.414 0.189 0.865
O20 0.086 0.189 0.365
O21 0.583 0.431 0.134
O22 0.917 0.431 0.634
O23 0.417 0.569 0.866
O24 0.083 0.569 0.366
O25 0.586 0.707 0.372
O26 0.914 0.707 0.872
O27 0.414 0.293 0.628
O28 0.086 0.293 0.128
O29 0.587 0.092 0.370
O30 0.913 0.092 0.870
O31 0.413 0.908 0.630
O32 0.087 0.908 0.130
# Formation enthalpy at 0 K in meV per atom: -1234.0
# Total energy in eV/atom: -6.80
# MP2020-corrected energy in eV per cell: -683.0
# Space group: No. 14
# V in Å³ per cell: 1087.7

# Cr2H28C10N6O7, optimized geometry, DFT PBE+U
data_Cr2H28C10N6O7
_space_group_name_H-M_alt 'P 1'
_space_group_IT_number 1
_space_group_name_Hall 'P 1'
_cell_length_a 12.124
_cell_length_b 8.366
_cell_length_c 11.235
_cell_angle_alpha 69.48
_cell_angle_beta 90.00
_cell_angle_gamma 90.00
loop_
_atom_site_label
_atom_site_fract_x
_atom_site_fract_y
_atom_site_fract_z
Cr1 0.604 0.841 0.311
Cr2 0.901 0.365 0.802
Cr3 0.401 0.635 0.198
Cr4 0.104 0.159 0.689
H1 0.743 0.805 0.773
H2 0.757 0.305 0.273
H3 0.257 0.695 0.727
H4 0.243 0.195 0.227
H5 0.363 0.965 0.590
H6 0.138 0.465 0.090
H7 0.638 0.535 0.910
H8 0.863 0.035 0.410
H9 0.774 0.025 0.691
H10 0.727 0.525 0.191
H11 0.227 0.475 0.809
H12 0.274 0.975 0.309
H13 0.422 0.084 0.438
H14 0.078 0.584 0.939
H15 0.578 0.416 0.061
H16 0.922 0.916 0.562
H17 0.655 0.235 0.578
H18 0.845 0.736 0.078
H19 0.345 0.264 0.922
H20 0.155 0.765 0.422
H21 0.425 0.907 0.886
H22 0.078 0.407 0.385
H23 0.578 0.593 0.615
H24 0.925 0.093 0.114
H25 0.597 0.072 0.927
H26 0.902 0.573 0.427
H27 0.402 0.427 0.573
H28 0.097 0.928 0.073
H29 0.348 0.191 0.526
H30 0.152 0.691 0.026
H31 0.652 0.309 0.974
H32 0.848 0.809 0.474
H33 0.631 0.150 0.454
H34 0.869 0.650 0.953
H35 0.369 0.350 0.047
H36 0.131 0.850 0.546
H37 0.724 0.966 0.926
H38 0.777 0.465 0.426
H39 0.277 0.535 0.574
H40 0.224 0.034 0.074
H41 0.555 0.329 0.458
H42 0.945 0.829 0.957
H43 0.445 0.171 0.043
H44 0.055 0.671 0.542
H45 0.354 0.064 0.763
H46 0.147 0.564 0.262
H47 0.647 0.436 0.738
H48 0.854 0.936 0.237
H49 0.600 0.845 0.980
H50 0.901 0.345 0.480
H51 0.401 0.655 0.520
H52 0.100 0.155 0.020
H53 0.679 0.914 0.625
H54 0.822 0.414 0.125
H55 0.322 0.586 0.875
H56 0.179 0.086 0.375
C1 0.593 0.208 0.517
C2 0.907 0.708 0.017
C3 0.407 0.292 0.983
C4 0.093 0.792 0.483
C5 0.404 0.084 0.534
C6 0.096 0.584 0.034
C7 0.596 0.416 0.966
C8 0.904 0.916 0.466
C9 0.635 0.962 0.911
C10 0.866 0.462 0.411
C11 0.366 0.538 0.589
C12 0.135 0.038 0.089
C13 0.708 0.928 0.713
C14 0.793 0.428 0.213
C15 0.293 0.572 0.787
C16 0.208 0.072 0.287
C17 0.517 0.023 0.724
C18 0.983 0.524 0.224
C19 0.483 0.476 0.776
C20 0.017 0.977 0.276
N1 0.508 0.097 0.596
N2 0.992 0.597 0.096
N3 0.492 0.403 0.904
N4 0.008 0.903 0.404
N5 0.617 0.975 0.779
N6 0.884 0.475 0.279
N7 0.384 0.525 0.721
N8 0.117 0.025 0.221
N9 0.426 0.996 0.796
N10 0.074 0.500 0.296
N11 0.574 0.500 0.704
N12 0.926 0.004 0.204
O1 0.561 0.037 0.251
O2 0.908 0.571 0.766
O3 0.408 0.429 0.234
O4 0.061 0.963 0.749
O5 0.609 0.781 0.467
O6 0.908 0.272 0.957
O7 0.408 0.728 0.043
O8 0.109 0.219 0.533
O9 0.729 0.828 0.257
O10 0.784 0.319 0.748
O11 0.284 0.681 0.252
O12 0.229 0.172 0.743
O13 0.516 0.700 0.269
O14 0.016 0.300 0.731
# Formation enthalpy at 0 K in meV per atom: -436.4
# Total energy in eV/atom: -5.77
# MP2020-corrected energy in eV per cell: -628.8
# Space group: No. 4
# V in Å³ per cell: 1067.2